Pr3Bi4Au3 after structural relaxation, computed with r2SCAN.

Lattice parameters (Å, degrees): 8.9433 8.9433 8.9433 109.47 109.47 109.47
Sites, in units of the cell vectors:
Bi (0.6753, 0.5000, 0.0000)
Bi (0.0000, 0.6753, 0.5000)
Bi (0.5000, 0.0000, 0.1753)
Bi (0.3247, 0.3247, 0.3247)
Bi (0.8247, 0.8247, 0.8247)
Bi (0.5000, 0.0000, 0.6753)
Bi (0.0000, 0.1753, 0.5000)
Bi (0.1753, 0.5000, 0.0000)
Pr (0.3750, 0.6250, 0.7500)
Pr (0.7500, 0.3750, 0.6250)
Pr (0.2500, 0.1250, 0.8750)
Pr (0.8750, 0.2500, 0.1250)
Pr (0.1250, 0.8750, 0.2500)
Pr (0.6250, 0.7500, 0.3750)
Au (0.8750, 0.1250, 0.7500)
Au (0.2500, 0.6250, 0.3750)
Au (0.1250, 0.7500, 0.8750)
Au (0.6250, 0.3750, 0.2500)
Au (0.7500, 0.8750, 0.1250)
Au (0.3750, 0.2500, 0.6250)

* magnetization: 0.00 μB per cell
* DFT formation energy: -0.857 eV per atom


Pu2BiAu after structural relaxation, computed with r2SCAN.

Lattice parameters (Å, degrees): 5.3271 5.3271 5.3271 60.00 60.00 60.00
Sites, in units of the cell vectors:
Bi (0.0000, 0.0000, 0.0000)
Au (0.5000, 0.5000, 0.5000)
Pu (0.7500, 0.7500, 0.7500)
Pu (0.2500, 0.2500, 0.2500)

* magnetization: 12.00 μB per cell
* DFT formation energy: -0.605 eV per atom


Question: Which of these has the lowest DFT formation energy?
Answer: Pr3Bi4Au3